Entry 1:
Cs4MnSb2Cl12 | PBE | optimized geometry

Cell and atoms, written as CIF:
```
data_Cs4MnSb2Cl12
_space_group_name_H-M_alt 'P 1'
_space_group_IT_number 1
_cell_length_a 13.310
_cell_length_b 7.677
_cell_length_c 13.189
_cell_angle_alpha 90.00
_cell_angle_beta 109.44
_cell_angle_gamma 90.00
loop_
_space_group_symop_operation_xyz
'x,y,z'
loop_
_atom_site_label
_atom_site_type_symbol
_atom_site_fract_x
_atom_site_fract_y
_atom_site_fract_z
Cl1 Cl 0.634 0.767 0.132
Cl2 Cl 0.885 0.500 0.619
Cl3 Cl 0.866 0.733 0.868
Cl4 Cl 0.134 0.733 0.132
Cl5 Cl 0.118 0.733 0.618
Cl6 Cl 0.118 0.267 0.618
Cl7 Cl 0.882 0.267 0.382
Cl8 Cl 0.385 0.000 0.619
Cl9 Cl 0.382 0.233 0.382
Cl10 Cl 0.115 0.500 0.381
Cl11 Cl 0.382 0.767 0.382
Cl12 Cl 0.366 0.767 0.868
Cl13 Cl 0.618 0.767 0.618
Cl14 Cl 0.866 0.267 0.868
Cl15 Cl 0.633 0.500 0.867
Cl16 Cl 0.867 0.000 0.133
Cl17 Cl 0.134 0.267 0.132
Cl18 Cl 0.133 0.000 0.867
Cl19 Cl 0.367 0.500 0.133
Cl20 Cl 0.615 0.000 0.381
Cl21 Cl 0.882 0.733 0.382
Cl22 Cl 0.618 0.233 0.618
Cl23 Cl 0.634 0.233 0.132
Cl24 Cl 0.366 0.233 0.868
Cs1 Cs 0.127 0.000 0.381
Cs2 Cs 0.123 0.500 0.869
Cs3 Cs 0.873 0.000 0.619
Cs4 Cs 0.877 0.500 0.131
Cs5 Cs 0.377 0.000 0.131
Cs6 Cs 0.627 0.500 0.381
Cs7 Cs 0.373 0.500 0.619
Cs8 Cs 0.623 0.000 0.869
Sb1 Sb 0.750 0.000 0.247
Sb2 Sb 0.750 0.500 0.753
Sb3 Sb 0.250 0.500 0.247
Sb4 Sb 0.250 0.000 0.753
Mn1 Mn 0.000 0.500 0.500
Mn2 Mn 0.500 0.000 0.500
```

Computed properties:
Total magnetization ... 10.00 μB/cell
DFT formation energy ... -1.829 eV per atom
MP2020-corrected energy ... -0.15073 hartree per atom
Calculated volume ... 33.44 A^3/atom

***

Entry 2:
K3Al2As3 | PBE | optimized geometry

Cell and atoms, written as CIF:
```
data_K3Al2As3
_space_group_name_H-M_alt 'P 1'
_space_group_IT_number 1
_cell_length_a 7.664
_cell_length_b 6.077
_cell_length_c 10.585
_cell_angle_alpha 90.00
_cell_angle_beta 110.15
_cell_angle_gamma 90.00
loop_
_space_group_symop_operation_xyz
'x,y,z'
loop_
_atom_site_label
_atom_site_type_symbol
_atom_site_fract_x
_atom_site_fract_y
_atom_site_fract_z
K1 K 0.024 0.250 0.150
K2 K 0.067 0.750 0.427
K3 K 0.373 0.250 0.922
K4 K 0.627 0.750 0.078
K5 K 0.933 0.250 0.573
K6 K 0.976 0.750 0.850
Al1 Al 0.472 0.001 0.343
Al2 Al 0.472 0.499 0.343
Al3 Al 0.528 0.501 0.657
Al4 Al 0.528 0.999 0.657
As1 As 0.247 0.750 0.182
As2 As 0.312 0.250 0.471
As3 As 0.346 0.750 0.748
As4 As 0.654 0.250 0.252
As5 As 0.688 0.750 0.529
As6 As 0.753 0.250 0.818
```

Computed properties:
SG ... P2_1/m
DFT formation energy ... -0.570 eV per atom
Calculated volume ... 28.92 A^3/atom

***

Entry 3:
Te6MoW3Se2 | PBE | optimized geometry

Cell and atoms, written as CIF:
```
data_Te6MoW3Se2
_space_group_name_H-M_alt 'P 1'
_space_group_IT_number 1
_cell_length_a 3.498
_cell_length_b 3.498
_cell_length_c 39.682
_cell_angle_alpha 90.00
_cell_angle_beta 90.00
_cell_angle_gamma 120.00
loop_
_space_group_symop_operation_xyz
'x,y,z'
loop_
_atom_site_label
_atom_site_type_symbol
_atom_site_fract_x
_atom_site_fract_y
_atom_site_fract_z
Te1 Te 0.000 0.000 0.000
Te2 Te 0.000 0.000 0.092
Te3 Te 0.667 0.333 0.188
Te4 Te 0.667 0.333 0.280
Te5 Te 0.667 0.333 0.812
Te6 Te 0.667 0.333 0.905
Mo1 Mo 0.667 0.333 0.046
W1 W 0.000 0.000 0.234
W2 W 0.000 0.000 0.858
W3 W 0.667 0.333 0.670
Se1 Se 0.000 0.000 0.630
Se2 Se 0.000 0.000 0.711
```

Computed properties:
Total magnetization ... 0.00 μB/cell
SG ... P3m1
DFT formation energy ... -0.305 eV per atom
MP2020-corrected energy ... -0.24263 hartree per atom
Calculated volume ... 35.04 A^3/atom
Relative energy among the computed polymorphs ... 0 meV per atom

***

Entry 4:
Mg3Ga | PBE | optimized geometry

Cell and atoms, written as CIF:
```
data_Mg3Ga
_space_group_name_H-M_alt 'P 1'
_space_group_IT_number 1
_cell_length_a 3.180
_cell_length_b 4.926
_cell_length_c 5.375
_cell_angle_alpha 90.00
_cell_angle_beta 90.00
_cell_angle_gamma 90.00
loop_
_space_group_symop_operation_xyz
'x,y,z'
loop_
_atom_site_label
_atom_site_type_symbol
_atom_site_fract_x
_atom_site_fract_y
_atom_site_fract_z
Mg1 Mg 0.000 0.000 0.000
Mg2 Mg 0.000 0.500 0.340
Mg3 Mg 0.500 0.000 0.510
Ga1 Ga 0.500 0.500 0.839
```

Computed properties:
SG ... Pmm2
DFT formation energy ... -0.051 eV per atom
Calculated volume ... 21.05 A^3/atom

***

Entry 5:
ThAl2Ni3 | PBE | optimized geometry

Cell and atoms, written as CIF:
```
data_ThAl2Ni3
_space_group_name_H-M_alt 'P 1'
_space_group_IT_number 1
_cell_length_a 5.190
_cell_length_b 8.649
_cell_length_c 4.130
_cell_angle_alpha 90.00
_cell_angle_beta 90.00
_cell_angle_gamma 90.00
loop_
_space_group_symop_operation_xyz
'x,y,z'
loop_
_atom_site_label
_atom_site_type_symbol
_atom_site_fract_x
_atom_site_fract_y
_atom_site_fract_z
Th1 Th 0.000 0.000 0.000
Th2 Th 0.500 0.500 0.000
Al1 Al 0.250 0.250 0.500
Al2 Al 0.250 0.750 0.500
Al3 Al 0.750 0.250 0.500
Al4 Al 0.750 0.750 0.500
Ni1 Ni 0.000 0.330 0.000
Ni2 Ni 0.000 0.500 0.500
Ni3 Ni 0.000 0.670 0.000
Ni4 Ni 0.500 0.000 0.500
Ni5 Ni 0.500 0.170 0.000
Ni6 Ni 0.500 0.830 0.000
```

Computed properties:
SG ... Cmmm
DFT formation energy ... -0.590 eV per atom
Calculated volume ... 15.45 A^3/atom

***

Entry 6:
Ge | PBE | optimized geometry

Cell and atoms, written as CIF:
```
data_Ge
_space_group_name_H-M_alt 'P 1'
_space_group_IT_number 1
_cell_length_a 11.045
_cell_length_b 11.045
_cell_length_c 11.045
_cell_angle_alpha 60.00
_cell_angle_beta 60.00
_cell_angle_gamma 60.00
loop_
_space_group_symop_operation_xyz
'x,y,z'
loop_
_atom_site_label
_atom_site_type_symbol
_atom_site_fract_x
_atom_site_fract_y
_atom_site_fract_z
Ge1 Ge 0.125 0.125 0.125
Ge2 Ge 0.130 0.130 0.503
Ge3 Ge 0.130 0.130 0.738
Ge4 Ge 0.130 0.503 0.130
Ge5 Ge 0.130 0.503 0.738
Ge6 Ge 0.130 0.738 0.130
Ge7 Ge 0.130 0.738 0.503
Ge8 Ge 0.186 0.771 0.771
Ge9 Ge 0.229 0.229 0.229
Ge10 Ge 0.229 0.229 0.814
Ge11 Ge 0.229 0.814 0.229
Ge12 Ge 0.262 0.497 0.870
Ge13 Ge 0.262 0.870 0.497
Ge14 Ge 0.262 0.870 0.870
Ge15 Ge 0.497 0.262 0.870
Ge16 Ge 0.497 0.870 0.262
Ge17 Ge 0.497 0.870 0.870
Ge18 Ge 0.503 0.130 0.130
Ge19 Ge 0.503 0.130 0.738
Ge20 Ge 0.503 0.738 0.130
Ge21 Ge 0.738 0.130 0.130
Ge22 Ge 0.738 0.130 0.503
Ge23 Ge 0.738 0.503 0.130
Ge24 Ge 0.771 0.186 0.771
Ge25 Ge 0.771 0.771 0.186
Ge26 Ge 0.771 0.771 0.771
Ge27 Ge 0.814 0.229 0.229
Ge28 Ge 0.870 0.262 0.497
Ge29 Ge 0.870 0.262 0.870
Ge30 Ge 0.870 0.497 0.262
Ge31 Ge 0.870 0.497 0.870
Ge32 Ge 0.870 0.870 0.262
Ge33 Ge 0.870 0.870 0.497
Ge34 Ge 0.875 0.875 0.875
```

Computed properties:
Total magnetization ... 0.00 μB/cell
SG ... Fd-3m
DFT formation energy ... 0.327 eV per atom
Calculated volume ... 28.02 A^3/atom
Relative energy among the computed polymorphs ... 327 meV per atom

***

Entry 7:
K4Pb2Br8O | PBE | optimized geometry

Cell and atoms, written as CIF:
```
data_K4Pb2Br8O
_space_group_name_H-M_alt 'P 1'
_space_group_IT_number 1
_cell_length_a 4.431
_cell_length_b 8.277
_cell_length_c 14.419
_cell_angle_alpha 89.61
_cell_angle_beta 89.63
_cell_angle_gamma 89.91
loop_
_space_group_symop_operation_xyz
'x,y,z'
loop_
_atom_site_label
_atom_site_type_symbol
_atom_site_fract_x
_atom_site_fract_y
_atom_site_fract_z
K1 K 0.020 0.087 0.327
K2 K 0.034 0.586 0.169
K3 K 0.966 0.414 0.831
K4 K 0.980 0.913 0.673
Pb1 Pb 0.500 0.000 0.000
Pb2 Pb 0.500 0.500 0.500
Br1 Br 0.004 0.248 0.043
Br2 Br 0.006 0.751 0.459
Br3 Br 0.479 0.619 0.698
Br4 Br 0.484 0.114 0.802
Br5 Br 0.516 0.886 0.198
Br6 Br 0.521 0.381 0.302
Br7 Br 0.994 0.249 0.541
Br8 Br 0.996 0.752 0.957
O1 O 0.500 0.500 0.000
```

Computed properties:
Total magnetization ... 2.00 μB/cell
SG ... P-1
DFT formation energy ... -1.220 eV per atom
MP2020-corrected energy ... -0.11812 hartree per atom
Calculated volume ... 35.25 A^3/atom

***

Entry 8:
Al2Cu3Si3O12 | PBE | optimized geometry

Cell and atoms, written as CIF:
```
data_Al2Cu3Si3O12
_space_group_name_H-M_alt 'P 1'
_space_group_IT_number 1
_cell_length_a 10.083
_cell_length_b 10.083
_cell_length_c 10.083
_cell_angle_alpha 109.47
_cell_angle_beta 109.47
_cell_angle_gamma 109.47
loop_
_space_group_symop_operation_xyz
'x,y,z'
loop_
_atom_site_label
_atom_site_type_symbol
_atom_site_fract_x
_atom_site_fract_y
_atom_site_fract_z
Al1 Al 0.000 0.000 0.000
Al2 Al 0.000 0.000 0.500
Al3 Al 0.000 0.500 0.000
Al4 Al 0.000 0.500 0.500
Al5 Al 0.500 0.000 0.000
Al6 Al 0.500 0.000 0.500
Al7 Al 0.500 0.500 0.000
Al8 Al 0.500 0.500 0.500
Cu1 Cu 0.125 0.250 0.375
Cu2 Cu 0.125 0.375 0.750
Cu3 Cu 0.250 0.375 0.125
Cu4 Cu 0.250 0.875 0.625
Cu5 Cu 0.375 0.125 0.250
Cu6 Cu 0.375 0.750 0.125
Cu7 Cu 0.625 0.250 0.875
Cu8 Cu 0.625 0.875 0.750
Cu9 Cu 0.750 0.125 0.375
Cu10 Cu 0.750 0.625 0.875
Cu11 Cu 0.875 0.625 0.250
Cu12 Cu 0.875 0.750 0.625
Si1 Si 0.125 0.750 0.875
Si2 Si 0.125 0.875 0.250
Si3 Si 0.250 0.125 0.875
Si4 Si 0.250 0.625 0.375
Si5 Si 0.375 0.250 0.625
Si6 Si 0.375 0.625 0.750
Si7 Si 0.625 0.375 0.250
Si8 Si 0.625 0.750 0.375
Si9 Si 0.750 0.375 0.625
Si10 Si 0.750 0.875 0.125
Si11 Si 0.875 0.125 0.750
Si12 Si 0.875 0.250 0.125
O1 O 0.013 0.198 0.122
O2 O 0.013 0.315 0.891
O3 O 0.076 0.698 0.685
O4 O 0.076 0.878 0.391
O5 O 0.109 0.622 0.424
O6 O 0.109 0.987 0.685
O7 O 0.122 0.013 0.198
O8 O 0.122 0.609 0.924
O9 O 0.185 0.198 0.576
O10 O 0.185 0.487 0.609
O11 O 0.198 0.122 0.013
O12 O 0.198 0.576 0.185
O13 O 0.302 0.315 0.924
O14 O 0.302 0.487 0.378
O15 O 0.315 0.891 0.013
O16 O 0.315 0.924 0.302
O17 O 0.378 0.302 0.487
O18 O 0.378 0.576 0.891
O19 O 0.391 0.076 0.878
O20 O 0.391 0.815 0.513
O21 O 0.424 0.109 0.622
O22 O 0.424 0.815 0.802
O23 O 0.487 0.378 0.302
O24 O 0.487 0.609 0.185
O25 O 0.513 0.391 0.815
O26 O 0.513 0.622 0.698
O27 O 0.576 0.185 0.198
O28 O 0.576 0.891 0.378
O29 O 0.609 0.185 0.487
O30 O 0.609 0.924 0.122
O31 O 0.622 0.424 0.109
O32 O 0.622 0.698 0.513
O33 O 0.685 0.076 0.698
O34 O 0.685 0.109 0.987
O35 O 0.698 0.513 0.622
O36 O 0.698 0.685 0.076
O37 O 0.802 0.424 0.815
O38 O 0.802 0.878 0.987
O39 O 0.815 0.513 0.391
O40 O 0.815 0.802 0.424
O41 O 0.878 0.391 0.076
O42 O 0.878 0.987 0.802
O43 O 0.891 0.013 0.315
O44 O 0.891 0.378 0.576
O45 O 0.924 0.122 0.609
O46 O 0.924 0.302 0.315
O47 O 0.987 0.685 0.109
O48 O 0.987 0.802 0.878
```

Computed properties:
Total magnetization ... 12.00 μB/cell
SG ... Ia-3d
DFT formation energy ... -2.441 eV per atom
MP2020-corrected energy ... -0.26506 hartree per atom
Calculated volume ... 9.87 A^3/atom